This record from the Materials Project database describes Ce7O12 after structural relaxation. The functional is PBE.

Properties
* calculated volume: 15.69 Å³/atom
* crystal system: trigonal
* space group: R-3
* E_form: -74.461 eV/f.u.

POSCAR file:
```
Ce7O12
1.0
4.3819 -5.1851 0.0000
4.3819 5.1851 0.0000
-1.7535 0.0000 6.5583
Ce O
7 12
Cartesian
0.8660 0.8380 3.9409
2.7131 -2.3989 1.9666
0.0000 0.0000 0.0000
6.1443 -0.8380 2.6174
4.2973 2.3989 4.5918
3.3057 -1.5610 5.6517
3.7047 1.5610 0.9066
5.3517 3.1487 0.4572
3.2002 4.4515 4.4533
2.5730 2.0993 2.8361
0.0843 1.3028 6.0877
5.3583 1.3209 2.7377
4.4373 -2.0993 3.7222
1.6587 -3.1487 6.1011
2.8742 0.7783 5.3930
1.6520 -1.3209 3.8206
4.1361 -0.7783 1.1653
3.8101 -4.4515 2.1050
6.9261 -1.3028 0.4707
```



This record from the Materials Project database describes CeO after structural relaxation. The functional is PBE.

Properties
* calculated volume: 15.49 Å³/atom
* crystal system: cubic
* space group: Fm-3m
* E_form: -6.468 eV/f.u.

POSCAR file:
```
CeO
1.0
-2.8252 -0.5402 2.0385
-2.5870 2.3931 0.0974
-3.1228 -0.7191 -1.4698
O Ce
1 1
Cartesian
-4.2675 0.5669 0.3330
0.0000 0.0000 0.0000
```



This record from the Materials Project database describes Ce2O3 after structural relaxation. The functional is PBE.

Properties
* calculated volume: 17.12 Å³/atom
* crystal system: cubic
* space group: Ia-3
* E_form: -18.849 eV/f.u.

POSCAR file:
```
Ce2O3
1.0
-5.5528 5.5528 5.5528
5.5528 -5.5528 5.5528
5.5528 5.5528 -5.5528
O Ce
24 16
Cartesian
6.9108 1.2558 1.6144
3.9384 6.9108 -1.2558
1.6144 6.9108 1.2558
1.6144 4.1948 4.2970
1.2558 3.9384 1.3580
-1.3580 6.8086 1.6144
-1.3580 4.2970 3.9384
1.6144 -1.3580 6.8086
1.3580 1.2558 3.9384
4.1948 6.8086 3.9384
4.1948 4.2970 1.6144
4.2970 3.9384 -1.3580
-1.2558 1.6144 1.3580
6.8086 1.6144 -1.3580
3.9384 -1.3580 4.2970
1.3580 -1.2558 1.6144
3.9384 4.1948 6.8086
6.9108 -1.2558 3.9384
3.9384 1.3580 1.2558
4.2970 1.6144 4.1948
1.2558 1.6144 6.9108
1.6144 1.3580 -1.2558
-1.2558 3.9384 6.9108
6.8086 3.9384 4.1948
5.5528 2.7764 0.2381
-2.7764 2.7764 2.7764
5.3147 0.0000 2.7764
0.0000 2.7764 5.3147
0.0000 8.3292 0.2381
0.2381 0.0000 8.3292
5.5528 -2.7764 5.3147
2.7764 -2.7764 2.7764
2.7764 0.2381 5.5528
2.7764 5.3147 0.0000
-2.7764 5.3147 5.5528
2.7764 2.7764 2.7764
8.3292 0.2381 0.0000
5.3147 5.5528 -2.7764
2.7764 2.7764 -2.7764
0.2381 5.5528 2.7764
```



This record from the Materials Project database describes Ce11O20 after structural relaxation. The functional is PBE.

Properties
* calculated volume: 14.90 Å³/atom
* crystal system: triclinic
* space group: P-1
* E_form: -122.175 eV/f.u.

POSCAR file:
```
Ce11O20
1.0
6.7643 0.0000 0.0000
-1.1442 6.6793 0.0000
-0.0316 -1.1180 10.2210
O Ce
20 11
Cartesian
5.4333 2.2683 0.4096
2.4735 3.7991 1.2970
4.5095 4.2441 8.6465
0.0229 0.1766 8.1756
0.1553 3.2930 9.8114
2.1505 4.6804 7.1735
3.1151 1.7622 8.9241
5.6538 -0.1022 4.4498
3.3580 6.3745 0.7076
1.0790 1.3172 1.5746
-0.2041 2.4754 3.7846
3.4380 0.8809 3.0476
5.5657 5.3847 2.0454
3.5321 3.9620 4.6930
-0.0652 5.6635 5.7712
4.4175 0.5975 6.7901
2.2306 -0.8132 9.5135
2.0564 1.5993 5.5280
1.1710 4.9638 3.4310
5.7927 3.0860 6.4365
5.4301 2.0542 8.4619
1.0906 3.6858 5.3718
0.1584 3.5071 1.7591
3.3513 5.4019 2.8181
4.5086 5.2994 6.4999
0.0000 0.0000 0.0000
1.0800 0.2619 3.7211
2.3218 3.8889 9.3840
2.2372 0.1594 7.4030
4.4979 1.8755 4.8492
3.2668 1.6724 0.8370
```



This record from the Materials Project database describes Ce2O3 after structural relaxation. The functional is PBE.

Properties
* calculated volume: 15.43 Å³/atom
* crystal system: trigonal
* space group: P-3m1
* E_form: -18.628 eV/f.u.

POSCAR file:
```
Ce2O3
1.0
1.1060 2.5996 2.5877
2.3614 -2.8539 -0.9782
2.3126 3.4352 -4.4394
Ce O
2 3
Cartesian
3.6869 1.5545 -3.1374
2.0931 1.6264 0.3075
2.7695 0.1917 -1.3763
0.0000 0.0000 0.0000
3.0105 2.9892 -1.4536
```



This record from the Materials Project database describes Ce5O9 after structural relaxation. The functional is PBE.

Properties
* calculated volume: 15.03 Å³/atom
* crystal system: triclinic
* space group: P-1
* E_form: -55.148 eV/f.u.

POSCAR file:
```
Ce5O9
1.0
6.7758 0.0000 0.0000
2.2487 7.4788 0.0000
2.3043 1.3761 8.3060
O Ce
18 10
Cartesian
2.6456 7.1376 1.3404
2.6278 1.2440 0.2724
3.0184 3.1923 3.8959
7.2681 8.2098 5.5393
8.7010 7.6109 8.0336
8.3105 5.6626 4.4101
7.3151 3.9464 7.8591
7.3515 1.8770 4.4827
5.3442 4.7086 2.8288
4.0138 4.9085 0.4468
3.9773 6.9779 3.8233
5.9847 4.1463 5.4771
9.6622 5.0708 6.9339
6.2636 2.1854 1.9683
5.0653 6.6695 6.3377
4.0608 0.6451 2.7667
1.6666 3.7841 1.3720
8.6833 1.7173 6.9656
6.1344 6.3616 4.3165
5.1945 2.4933 3.9895
1.7178 1.5007 2.4834
6.2112 8.2451 7.6078
8.2872 3.6349 5.7223
5.1080 4.7170 7.5802
5.1176 0.6098 0.6982
3.0417 5.2199 2.5837
6.2209 4.1379 0.7258
9.6111 7.3542 5.8226
```



This record from the Materials Project database describes Ce5O9 after structural relaxation. The functional is PBE.

Properties
* calculated volume: 15.06 Å³/atom
* crystal system: tetragonal
* space group: I-4
* E_form: -55.199 eV/f.u.

POSCAR file:
```
Ce5O9
1.0
4.0274 -2.3473 -4.8836
1.3803 3.5142 5.5968
-1.9824 -5.8329 2.7615
O Ce
9 5
Cartesian
3.1932 -1.8237 0.5848
0.5551 -2.7554 0.0789
1.0770 -5.4082 0.6822
2.8156 -1.9225 3.3887
0.2322 -2.8424 2.8900
-0.2059 -2.3184 5.5746
2.3483 0.7421 2.7926
3.6860 -2.3359 -2.0926
0.0000 0.0000 0.0000
-0.8643 -4.1724 1.3855
2.3745 -3.7984 -0.8827
4.6909 -0.5727 -0.8232
1.7081 -3.4517 4.6902
1.3160 -1.1353 1.6970
```



This record from the Materials Project database describes Ce16O27 after structural relaxation. The functional is PBE.

Properties
* calculated volume: 15.84 Å³/atom
* crystal system: triclinic
* space group: P1
* total moment: 0.23 μB per atom
* E_form: -167.314 eV/f.u.

POSCAR file:
```
Ce16O27
1.0
9.0138 0.0071 -3.1945
-4.5057 7.8516 -3.2090
0.0214 0.0018 19.2277
Ce O
32 54
Cartesian
-2.2488 7.8254 8.0557
5.4865 2.0253 11.2852
-3.1526 5.8960 4.9246
-4.3965 7.8242 11.2110
1.2614 5.7366 -1.4944
-3.1951 5.8444 14.5356
3.2901 2.1740 14.3122
2.1348 3.7902 11.1219
-2.2123 3.8951 17.6121
6.9251 0.1635 14.3278
5.6845 2.1682 1.6936
7.6659 1.9441 -1.5753
1.2338 1.7800 8.0258
6.8365 0.1705 4.6522
4.3964 3.7331 8.0145
3.3505 5.9403 5.0554
0.0441 3.9721 4.5663
3.2398 2.0922 4.7655
-0.1016 0.1915 4.7702
-1.0017 5.7523 1.4635
6.5467 3.9660 4.8982
1.1416 1.9400 17.4083
7.8652 1.9371 7.8075
-1.0166 5.6975 11.0662
1.2638 6.0506 8.1296
0.0959 7.8235 5.0205
2.3424 3.9184 1.5751
0.1041 4.1390 14.4624
4.4901 0.0084 17.6167
4.4117 3.7469 -1.6635
3.3796 5.9243 -4.5939
-2.3302 7.7163 -1.4557
0.9601 2.0382 14.9959
-0.9454 1.9750 -0.7265
2.2179 3.6712 -0.7099
0.1227 3.6891 2.1393
-0.0090 0.1379 2.3397
-1.0105 5.9565 -0.8837
6.6367 4.0283 -2.2782
-2.1289 3.8168 15.1211
1.0339 2.2027 5.6835
4.5276 7.6242 0.7540
4.5136 0.0295 10.5535
2.3479 4.1338 3.8401
0.0718 3.9178 -2.4221
3.2911 1.9939 12.0297
2.0449 3.8438 8.6462
4.5919 4.2255 0.8615
2.3095 4.2278 13.5008
-2.2540 7.7165 1.0576
-2.1236 7.6372 10.5915
-0.9848 5.6461 8.6944
3.3954 1.7770 16.5941
4.4074 4.1957 10.4443
5.5704 1.8819 13.7692
5.7887 1.9191 8.9720
5.4537 1.9070 4.1016
3.5204 1.7157 7.1110
1.3021 5.9782 0.9772
5.4571 1.8304 -0.6582
2.1841 7.7323 3.7534
6.5720 0.0992 2.2556
-1.0812 5.9499 3.7527
1.1195 1.8469 10.3603
2.4041 0.0957 -0.5152
3.2495 1.8622 2.1868
2.1068 7.7695 13.3797
6.6023 4.0209 7.2866
-2.1410 7.7732 5.6823
4.3553 3.9291 5.6754
3.6015 5.8739 7.4477
4.6472 7.6303 10.4136
7.8283 2.0787 0.7691
5.5200 5.8290 13.5678
3.5760 5.8842 -2.1955
1.2595 6.0312 10.5887
4.4324 3.9419 -3.9731
-1.1395 6.0487 13.4258
1.0743 6.1043 -3.7744
5.4061 5.9512 4.0004
-0.0917 3.7128 12.0700
-1.0544 2.1236 8.6120
6.9332 0.2801 11.9022
8.8486 0.1871 8.9970
-2.0377 3.9896 5.7782
1.0914 5.7585 5.8325
```



This record from the Materials Project database describes CeP3O14 after structural relaxation. The functional is PBE.

Properties
* calculated volume: 20.29 Å³/atom
* crystal system: orthorhombic
* space group: P2_12_12_1
* total moment: 0.28 μB per atom
* E_form: -21.287 eV/f.u.

POSCAR file:
```
CeP3O14
1.0
15.5810 0.0000 0.0000
0.0000 12.7523 0.0000
0.0000 0.0000 7.3512
O Ce P
56 4 12
Cartesian
10.5610 8.1730 3.7384
14.6001 7.5272 5.9121
11.6443 7.6477 0.5224
10.8201 2.6218 2.4831
3.4631 7.9897 4.1094
3.8538 11.4808 6.8287
1.1442 7.3304 3.1069
8.7714 5.2251 2.2365
0.9809 1.1510 5.1147
2.7705 10.9555 3.6128
5.1290 11.3935 6.9928
14.4368 0.9542 0.5687
7.8512 10.7125 1.3780
3.0295 3.7544 4.8680
9.8031 0.2587 2.2491
4.3275 4.7626 0.4338
14.9237 10.0780 0.5695
2.0849 2.8823 0.6581
8.4478 2.6743 4.2451
3.9367 1.2715 3.1532
15.5203 2.0398 5.0536
13.5684 12.4936 5.9247
2.6615 1.3588 3.3172
8.9347 11.7981 4.2442
9.8754 3.4939 6.6931
5.0200 1.7969 7.2884
6.1930 2.0689 0.2007
4.6054 6.9946 6.5189
9.3880 8.4451 3.4749
11.7273 5.1046 4.1980
2.0126 6.1174 5.1021
10.9756 0.6185 4.5079
13.9835 4.3072 7.1505
0.0607 8.4160 5.9732
12.9195 7.7350 0.3584
3.1851 5.7577 2.8433
14.2252 1.2362 1.8732
7.1332 9.0505 6.7817
12.8105 4.5793 0.0628
6.6463 5.4219 6.7825
6.4347 5.1400 5.4779
13.4961 9.2584 3.0175
5.7779 6.6349 1.4265
5.7056 9.8701 4.3336
11.2536 11.1388 3.2418
12.1180 1.6136 6.9174
9.1463 11.5161 5.5488
12.5515 10.1305 6.1587
10.4520 5.0174 4.0340
7.7298 4.3364 2.2976
1.3558 7.6124 1.8024
1.5975 10.6834 3.8763
0.6573 3.7018 3.1061
4.7610 8.9980 1.1924
6.8096 11.6013 1.4391
12.3959 12.1339 0.8323
2.9439 3.4761 2.1481
10.7344 2.9001 5.2030
4.8466 9.2763 5.8237
12.6371 9.8522 1.5275
2.2167 4.5958 5.7925
5.1636 5.9628 0.1028
15.1659 3.3096 4.0859
7.3754 3.0666 3.2653
2.6269 6.7895 3.7784
0.4151 9.6857 6.9409
10.4174 12.3390 3.5728
5.5738 8.1565 2.1169
8.2057 9.4428 0.4103
10.0072 1.7803 1.5587
12.9541 0.4133 7.2483
13.3643 10.9720 5.2342
```



This record from the Materials Project database describes CeP3O9 after structural relaxation. The functional is PBE.

Properties
* calculated volume: 14.16 Å³/atom
* crystal system: orthorhombic
* space group: C222_1
* E_form: -38.640 eV/f.u.

POSCAR file:
```
CeP3O9
1.0
1.9784 5.8787 3.5676
-3.0223 -4.2289 4.9177
6.6248 -3.0886 1.4155
P O Ce
6 18 2
Cartesian
4.1076 2.6919 4.3820
4.1607 -5.3835 6.0929
1.4891 -4.1554 5.3913
-0.7843 1.2395 6.3752
1.4045 3.9696 3.9353
3.0528 -1.1340 2.8178
-0.0873 2.3978 7.2130
2.5826 -5.2593 5.8075
4.1514 -1.3093 3.8479
2.9984 3.8206 4.0932
2.8296 1.2573 7.6893
2.0226 -1.5443 8.1347
2.8879 -2.5404 2.0937
4.9151 -2.6464 8.8092
3.4461 -0.0886 1.6856
4.9227 -1.3084 6.7118
4.9040 -4.1633 5.6645
0.3347 0.3810 5.8189
1.7531 -0.6408 3.4229
2.0351 -2.7697 5.4715
0.7165 1.4305 1.1588
5.5931 -4.0209 2.8187
0.7273 2.6449 3.8270
3.4955 1.4105 4.8384
2.6560 -0.5069 6.0433
-0.3875 0.6124 3.1497
```



Please write out number 10 again, unchanged.
This record from the Materials Project database describes CeP3O9 after structural relaxation. The functional is PBE.

Properties
* calculated volume: 14.16 Å³/atom
* crystal system: orthorhombic
* space group: C222_1
* E_form: -38.640 eV/f.u.

POSCAR file:
```
CeP3O9
1.0
1.9784 5.8787 3.5676
-3.0223 -4.2289 4.9177
6.6248 -3.0886 1.4155
P O Ce
6 18 2
Cartesian
4.1076 2.6919 4.3820
4.1607 -5.3835 6.0929
1.4891 -4.1554 5.3913
-0.7843 1.2395 6.3752
1.4045 3.9696 3.9353
3.0528 -1.1340 2.8178
-0.0873 2.3978 7.2130
2.5826 -5.2593 5.8075
4.1514 -1.3093 3.8479
2.9984 3.8206 4.0932
2.8296 1.2573 7.6893
2.0226 -1.5443 8.1347
2.8879 -2.5404 2.0937
4.9151 -2.6464 8.8092
3.4461 -0.0886 1.6856
4.9227 -1.3084 6.7118
4.9040 -4.1633 5.6645
0.3347 0.3810 5.8189
1.7531 -0.6408 3.4229
2.0351 -2.7697 5.4715
0.7165 1.4305 1.1588
5.5931 -4.0209 2.8187
0.7273 2.6449 3.8270
3.4955 1.4105 4.8384
2.6560 -0.5069 6.0433
-0.3875 0.6124 3.1497
```